No. 1
The following is a DFT calculation (PBE+U) of an optimized crystal structure of CrFeO3.

Cell and atoms, written as CIF:
```
data_CrFeO3
_chemical_formula_sum 'Cr16 Fe16 O48'
_space_group_name_H-M_alt 'P 1'
_space_group_IT_number 1
_cell_length_a 9.524
_cell_length_b 10.276
_cell_length_c 10.522
_cell_angle_alpha 83.86
_cell_angle_beta 80.46
_cell_angle_gamma 83.82
loop_
_space_group_symop_operation_xyz
'x,y,z'
loop_
_atom_site_label
_atom_site_type_symbol
_atom_site_fract_x
_atom_site_fract_y
_atom_site_fract_z
Cr1 Cr 0.000 0.000 0.000
Cr2 Cr 0.008 0.240 0.141
Cr3 Cr 0.148 0.656 0.462
Cr4 Cr 0.183 0.705 0.136
Cr5 Cr 0.369 0.859 0.976
Cr6 Cr 0.451 0.137 0.148
Cr7 Cr 0.487 0.647 0.231
Cr8 Cr 0.534 0.369 0.335
Cr9 Cr 0.626 0.962 0.774
Cr10 Cr 0.693 0.852 0.546
Cr11 Cr 0.703 0.499 0.680
Cr12 Cr 0.737 0.004 0.202
Cr13 Cr 0.769 0.481 0.177
Cr14 Cr 0.790 0.595 0.412
Cr15 Cr 0.861 0.093 0.653
Cr16 Cr 0.955 0.490 0.875
Fe1 Fe 0.004 0.900 0.348
Fe2 Fe 0.012 0.376 0.547
Fe3 Fe 0.058 0.861 0.702
Fe4 Fe 0.099 0.194 0.766
Fe5 Fe 0.137 0.104 0.429
Fe6 Fe 0.229 0.373 0.278
Fe7 Fe 0.269 0.650 0.794
Fe8 Fe 0.298 0.468 0.006
Fe9 Fe 0.301 0.205 0.929
Fe10 Fe 0.373 0.890 0.338
Fe11 Fe 0.408 0.888 0.623
Fe12 Fe 0.414 0.161 0.521
Fe13 Fe 0.436 0.640 0.534
Fe14 Fe 0.453 0.356 0.700
Fe15 Fe 0.664 0.272 0.898
Fe16 Fe 0.758 0.761 0.981
O1 O 0.004 0.020 0.806
O2 O 0.016 0.385 0.744
O3 O 0.046 0.177 0.588
O4 O 0.056 0.826 0.519
O5 O 0.063 0.725 0.302
O6 O 0.072 0.249 0.305
O7 O 0.096 0.174 0.972
O8 O 0.155 0.872 0.032
O9 O 0.157 0.510 0.890
O10 O 0.164 0.461 0.433
O11 O 0.173 0.519 0.160
O12 O 0.180 0.987 0.300
O13 O 0.231 0.622 0.628
O14 O 0.262 0.842 0.767
O15 O 0.292 0.281 0.105
O16 O 0.296 0.010 0.512
O17 O 0.321 0.212 0.739
O18 O 0.336 0.659 0.963
O19 O 0.340 0.685 0.381
O20 O 0.364 0.784 0.153
O21 O 0.390 0.050 0.010
O22 O 0.411 0.229 0.314
O23 O 0.428 0.356 0.892
O24 O 0.430 0.472 0.226
O25 O 0.469 0.346 0.509
O26 O 0.503 0.545 0.686
O27 O 0.527 0.809 0.470
O28 O 0.536 0.985 0.240
O29 O 0.551 0.026 0.613
O30 O 0.564 0.806 0.712
O31 O 0.590 0.858 0.932
O32 O 0.623 0.542 0.342
O33 O 0.634 0.165 0.077
O34 O 0.650 0.321 0.707
O35 O 0.666 0.625 0.096
O36 O 0.706 0.319 0.243
O37 O 0.718 0.098 0.811
O38 O 0.755 0.466 0.840
O39 O 0.776 0.671 0.567
O40 O 0.798 0.901 0.362
O41 O 0.808 0.143 0.515
O42 O 0.809 0.911 0.677
O43 O 0.812 0.440 0.528
O44 O 0.832 0.893 0.061
O45 O 0.894 0.538 0.254
O46 O 0.911 0.398 0.043
O47 O 0.911 0.672 0.874
O48 O 0.936 0.064 0.176
```

## Properties
**ΔE_f**: -1.607 eV per atom
**V**: 12.568 A^3/atom
**VASP energy**: -6.94 eV/atom

No. 2
The following is a DFT calculation (PBE+U) of an optimized crystal structure of CrFeO4.

Cell and atoms, written as CIF:
```
data_CrFeO4
_chemical_formula_sum 'Cr4 Fe4 O16'
_space_group_name_H-M_alt 'C m c m'
_space_group_IT_number 63
_space_group_name_Hall '-C 2c 2'
_cell_length_a 5.588
_cell_length_b 8.399
_cell_length_c 6.333
_cell_angle_alpha 90.00
_cell_angle_beta 90.00
_cell_angle_gamma 90.00
loop_
_atom_site_label
_atom_site_type_symbol
_atom_site_fract_x
_atom_site_fract_y
_atom_site_fract_z
Cr1 Cr 0.000 0.144 0.250
Fe1 Fe 0.000 0.500 0.000
O1 O 0.000 0.267 0.041
O2 O 0.239 0.474 0.750
```

## Properties
**ΔE_f**: -1.621 eV per atom
**V**: 12.386 A^3/atom
**VASP energy**: -6.77 eV/atom

No. 3
The following is a DFT calculation (PBE+U) of an optimized crystal structure of CrFeO3.

Cell and atoms, written as CIF:
```
data_CrFeO3
_chemical_formula_sum 'Cr16 Fe16 O48'
_space_group_name_H-M_alt 'P 1'
_space_group_IT_number 1
_cell_length_a 9.656
_cell_length_b 10.196
_cell_length_c 10.501
_cell_angle_alpha 91.18
_cell_angle_beta 96.67
_cell_angle_gamma 92.24
loop_
_space_group_symop_operation_xyz
'x,y,z'
loop_
_atom_site_label
_atom_site_type_symbol
_atom_site_fract_x
_atom_site_fract_y
_atom_site_fract_z
Cr1 Cr 0.000 0.000 0.000
Cr2 Cr 0.009 0.721 0.768
Cr3 Cr 0.032 0.568 0.094
Cr4 Cr 0.045 0.910 0.511
Cr5 Cr 0.129 0.680 0.337
Cr6 Cr 0.211 0.811 0.998
Cr7 Cr 0.236 0.290 0.867
Cr8 Cr 0.422 0.825 0.548
Cr9 Cr 0.491 0.362 0.734
Cr10 Cr 0.581 0.918 0.094
Cr11 Cr 0.599 0.506 0.154
Cr12 Cr 0.656 0.673 0.663
Cr13 Cr 0.749 0.432 0.902
Cr14 Cr 0.809 0.156 0.533
Cr15 Cr 0.887 0.479 0.572
Cr16 Cr 0.957 0.225 0.784
Fe1 Fe 0.078 0.283 0.398
Fe2 Fe 0.205 0.955 0.305
Fe3 Fe 0.311 0.017 0.707
Fe4 Fe 0.313 0.404 0.212
Fe5 Fe 0.329 0.110 0.123
Fe6 Fe 0.334 0.640 0.756
Fe7 Fe 0.407 0.697 0.229
Fe8 Fe 0.423 0.173 0.447
Fe9 Fe 0.465 0.494 0.455
Fe10 Fe 0.530 0.223 0.974
Fe11 Fe 0.648 0.228 0.265
Fe12 Fe 0.649 0.921 0.429
Fe13 Fe 0.772 0.747 0.958
Fe14 Fe 0.834 0.752 0.219
Fe15 Fe 0.897 0.034 0.291
Fe16 Fe 0.921 0.292 0.110
O1 O 0.002 0.840 0.331
O2 O 0.009 0.456 0.469
O3 O 0.020 0.762 0.605
O4 O 0.078 0.883 0.877
O5 O 0.086 0.152 0.905
O6 O 0.088 0.074 0.383
O7 O 0.096 0.299 0.718
O8 O 0.101 0.410 0.131
O9 O 0.123 0.023 0.633
O10 O 0.167 0.698 0.148
O11 O 0.173 0.972 0.112
O12 O 0.176 0.665 0.867
O13 O 0.228 0.824 0.449
O14 O 0.275 0.293 0.356
O15 O 0.296 0.567 0.338
O16 O 0.343 0.280 0.043
O17 O 0.351 0.442 0.801
O18 O 0.358 0.838 0.725
O19 O 0.372 0.052 0.301
O20 O 0.372 0.185 0.795
O21 O 0.402 0.028 0.557
O22 O 0.409 0.833 0.085
O23 O 0.411 0.536 0.114
O24 O 0.453 0.636 0.595
O25 O 0.480 0.329 0.564
O26 O 0.493 0.806 0.373
O27 O 0.535 0.390 0.292
O28 O 0.555 0.101 0.120
O29 O 0.625 0.119 0.437
O30 O 0.628 0.285 0.834
O31 O 0.629 0.519 0.773
O32 O 0.629 0.847 0.595
O33 O 0.648 0.901 0.951
O34 O 0.669 0.674 0.097
O35 O 0.709 0.371 0.083
O36 O 0.715 0.918 0.247
O37 O 0.738 0.571 0.533
O38 O 0.819 0.747 0.784
O39 O 0.830 0.324 0.626
O40 O 0.850 0.101 0.715
O41 O 0.853 0.977 0.476
O42 O 0.859 0.217 0.360
O43 O 0.888 0.579 0.970
O44 O 0.901 0.318 0.915
O45 O 0.909 0.103 0.125
O46 O 0.914 0.841 0.063
O47 O 0.957 0.593 0.245
O48 O 0.964 0.541 0.718
```

## Properties
**ΔE_f**: -1.629 eV per atom
**V**: 12.820 A^3/atom
**VASP energy**: -6.96 eV/atom

No. 4
The following is a DFT calculation (PBE+U) of an optimized crystal structure of CrFe2O5.

Cell and atoms, written as CIF:
```
data_CrFe2O5
_chemical_formula_sum 'Cr4 Fe8 O20'
_space_group_name_H-M_alt 'C m c m'
_space_group_IT_number 63
_space_group_name_Hall '-C 2c 2'
_cell_length_a 3.776
_cell_length_b 9.947
_cell_length_c 9.893
_cell_angle_alpha 90.00
_cell_angle_beta 90.00
_cell_angle_gamma 90.00
loop_
_atom_site_label
_atom_site_type_symbol
_atom_site_fract_x
_atom_site_fract_y
_atom_site_fract_z
Cr1 Cr 0.000 0.184 0.250
Fe1 Fe 0.000 0.139 0.562
O1 O 0.000 0.049 0.118
O2 O 0.000 0.251 0.750
O3 O 0.000 0.305 0.083
```

## Properties
**Offset from the most stable computed form**: 0.5 kJ/mol of atoms
**ΔE_f**: -1.753 eV per atom
**V**: 11.611 A^3/atom
**VASP energy**: -6.93 eV/atom

No. 5
The following is a DFT calculation (PBE+U) of an optimized crystal structure of CrFeO3.

Cell and atoms, written as CIF:
```
data_CrFeO3
_chemical_formula_sum 'Cr16 Fe16 O48'
_space_group_name_H-M_alt 'P 1'
_space_group_IT_number 1
_cell_length_a 9.957
_cell_length_b 9.966
_cell_length_c 10.004
_cell_angle_alpha 90.73
_cell_angle_beta 92.07
_cell_angle_gamma 92.20
loop_
_space_group_symop_operation_xyz
'x,y,z'
loop_
_atom_site_label
_atom_site_type_symbol
_atom_site_fract_x
_atom_site_fract_y
_atom_site_fract_z
Cr1 Cr 0.000 0.000 0.000
Cr2 Cr 0.014 0.049 0.408
Cr3 Cr 0.174 0.341 0.291
Cr4 Cr 0.289 0.842 0.530
Cr5 Cr 0.304 0.033 0.978
Cr6 Cr 0.329 0.635 0.065
Cr7 Cr 0.378 0.550 0.350
Cr8 Cr 0.490 0.252 0.205
Cr9 Cr 0.502 0.862 0.031
Cr10 Cr 0.570 0.755 0.335
Cr11 Cr 0.673 0.890 0.555
Cr12 Cr 0.691 0.641 0.989
Cr13 Cr 0.728 0.199 0.437
Cr14 Cr 0.845 0.314 0.025
Cr15 Cr 0.859 0.765 0.270
Cr16 Cr 0.978 0.838 0.726
Fe1 Fe 0.043 0.551 0.089
Fe2 Fe 0.053 0.601 0.422
Fe3 Fe 0.170 0.110 0.695
Fe4 Fe 0.174 0.617 0.745
Fe5 Fe 0.227 0.348 0.010
Fe6 Fe 0.286 0.916 0.216
Fe7 Fe 0.344 0.382 0.624
Fe8 Fe 0.471 0.102 0.534
Fe9 Fe 0.507 0.184 0.848
Fe10 Fe 0.520 0.666 0.747
Fe11 Fe 0.696 0.487 0.292
Fe12 Fe 0.700 0.969 0.850
Fe13 Fe 0.707 0.335 0.727
Fe14 Fe 0.777 0.592 0.585
Fe15 Fe 0.917 0.533 0.822
Fe16 Fe 0.996 0.338 0.597
O1 O 0.008 0.101 0.583
O2 O 0.024 0.668 0.232
O3 O 0.040 0.360 0.111
O4 O 0.048 0.415 0.416
O5 O 0.117 0.165 0.340
O6 O 0.138 0.803 0.652
O7 O 0.139 0.020 0.861
O8 O 0.156 0.026 0.103
O9 O 0.185 0.301 0.692
O10 O 0.187 0.545 0.947
O11 O 0.222 0.939 0.383
O12 O 0.243 0.659 0.451
O13 O 0.244 0.518 0.201
O14 O 0.297 0.828 0.029
O15 O 0.305 0.259 0.179
O16 O 0.316 0.025 0.625
O17 O 0.322 0.384 0.434
O18 O 0.347 0.222 0.928
O19 O 0.358 0.555 0.704
O20 O 0.416 0.736 0.227
O21 O 0.439 0.023 0.143
O22 O 0.481 0.997 0.890
O23 O 0.484 0.866 0.467
O24 O 0.493 0.669 0.960
O25 O 0.500 0.278 0.678
O26 O 0.507 0.444 0.243
O27 O 0.555 0.180 0.372
O28 O 0.574 0.608 0.442
O29 O 0.603 0.843 0.721
O30 O 0.681 0.083 0.581
O31 O 0.682 0.228 0.912
O32 O 0.689 0.835 0.003
O33 O 0.695 0.657 0.190
O34 O 0.700 0.559 0.778
O35 O 0.712 0.867 0.354
O36 O 0.734 0.330 0.193
O37 O 0.765 0.358 0.528
O38 O 0.836 0.801 0.616
O39 O 0.846 0.613 0.399
O40 O 0.853 0.523 0.008
O41 O 0.857 0.120 0.352
O42 O 0.901 0.346 0.815
O43 O 0.902 0.967 0.838
O44 O 0.913 0.132 0.038
O45 O 0.939 0.877 0.091
O46 O 0.971 0.883 0.386
O47 O 0.978 0.711 0.856
O48 O 0.992 0.547 0.646
```

## Properties
**ΔE_f**: -1.638 eV per atom
**V**: 12.390 A^3/atom
**VASP energy**: -6.97 eV/atom

No. 6
The following is a DFT calculation (PBE+U) of an optimized crystal structure of CrFeO3.

Cell and atoms, written as CIF:
```
data_CrFeO3
_chemical_formula_sum 'Cr16 Fe16 O48'
_space_group_name_H-M_alt 'P 1'
_space_group_IT_number 1
_cell_length_a 9.347
_cell_length_b 10.021
_cell_length_c 10.937
_cell_angle_alpha 89.39
_cell_angle_beta 88.73
_cell_angle_gamma 87.00
loop_
_space_group_symop_operation_xyz
'x,y,z'
loop_
_atom_site_label
_atom_site_type_symbol
_atom_site_fract_x
_atom_site_fract_y
_atom_site_fract_z
Cr1 Cr 0.000 0.000 0.000
Cr2 Cr 0.001 0.297 0.009
Cr3 Cr 0.099 0.766 0.209
Cr4 Cr 0.312 0.306 0.311
Cr5 Cr 0.321 0.993 0.567
Cr6 Cr 0.350 0.120 0.991
Cr7 Cr 0.390 0.581 0.179
Cr8 Cr 0.529 0.827 0.172
Cr9 Cr 0.530 0.807 0.845
Cr10 Cr 0.581 0.512 0.725
Cr11 Cr 0.626 0.524 0.008
Cr12 Cr 0.635 0.085 0.706
Cr13 Cr 0.684 0.807 0.559
Cr14 Cr 0.759 0.308 0.844
Cr15 Cr 0.777 0.880 0.311
Cr16 Cr 0.787 0.341 0.253
Fe1 Fe 0.023 0.129 0.254
Fe2 Fe 0.026 0.519 0.265
Fe3 Fe 0.035 0.459 0.768
Fe4 Fe 0.041 0.621 0.999
Fe5 Fe 0.159 0.149 0.791
Fe6 Fe 0.160 0.736 0.670
Fe7 Fe 0.223 0.839 0.888
Fe8 Fe 0.273 0.652 0.432
Fe9 Fe 0.342 0.431 0.891
Fe10 Fe 0.604 0.127 0.433
Fe11 Fe 0.640 0.586 0.394
Fe12 Fe 0.695 0.035 0.017
Fe13 Fe 0.890 0.917 0.753
Fe14 Fe 0.895 0.253 0.541
Fe15 Fe 0.927 0.598 0.508
Fe16 Fe 0.990 0.944 0.477
O1 O 0.007 0.138 0.439
O2 O 0.075 0.671 0.378
O3 O 0.082 0.976 0.832
O4 O 0.083 0.656 0.815
O5 O 0.113 0.833 0.035
O6 O 0.133 0.436 0.941
O7 O 0.151 0.138 0.032
O8 O 0.182 0.584 0.162
O9 O 0.189 0.111 0.627
O10 O 0.190 0.418 0.373
O11 O 0.235 0.168 0.275
O12 O 0.261 0.822 0.531
O13 O 0.324 0.239 0.857
O14 O 0.347 0.777 0.185
O15 O 0.360 0.981 0.882
O16 O 0.362 0.755 0.781
O17 O 0.374 0.375 0.183
O18 O 0.394 0.489 0.724
O19 O 0.415 0.559 0.001
O20 O 0.447 0.266 0.404
O21 O 0.447 0.573 0.363
O22 O 0.498 0.062 0.582
O23 O 0.499 0.112 0.079
O24 O 0.562 0.870 0.328
O25 O 0.566 0.861 0.995
O26 O 0.575 0.396 0.882
O27 O 0.595 0.644 0.162
O28 O 0.633 0.611 0.578
O29 O 0.633 0.638 0.843
O30 O 0.648 0.891 0.729
O31 O 0.663 0.381 0.146
O32 O 0.672 0.148 0.868
O33 O 0.718 0.930 0.162
O34 O 0.720 0.373 0.692
O35 O 0.749 0.258 0.402
O36 O 0.755 0.972 0.457
O37 O 0.778 0.725 0.410
O38 O 0.827 0.111 0.656
O39 O 0.827 0.488 0.351
O40 O 0.834 0.425 0.953
O41 O 0.838 0.925 0.931
O42 O 0.874 0.142 0.072
O43 O 0.934 0.667 0.161
O44 O 0.964 0.803 0.608
O45 O 0.977 0.426 0.595
O46 O 0.978 0.342 0.190
O47 O 0.981 0.925 0.280
O48 O 0.985 0.257 0.828
```

## Properties
**ΔE_f**: -1.578 eV per atom
**V**: 12.784 A^3/atom
**VASP energy**: -6.91 eV/atom

Number 1: total magnetization 1.400 μB/atom. Number 2: total magnetization 1.000 μB/atom. Number 3: total magnetization 1.375 μB/atom. Number 4: total magnetization 1.500 μB/atom. Number 5: total magnetization 1.400 μB/atom. Number 6: total magnetization 1.375 μB/atom.